# 1
The following is a PBE with a Hubbard U calculation of K2Na6V5Mo3O20 after structural relaxation, from the Materials Project database.

Unit cell a=11.2707 b=11.5946 c=16.7231 alpha=110.12 beta=109.07 gamma=90.02
Space group P1 (No. 1)
Symmetry-distinct sites (fractional):
K  0.0000  0.0000  0.0000 [1 per cell]
K  0.0001  0.4989  0.9993 [1 per cell]
K  0.2500  0.2723  0.9991 [1 per cell]
K  0.2509  0.7722  0.9992 [1 per cell]
K  0.3721  0.8673  0.2380 [1 per cell]
K  0.5024  0.4987  0.9991 [1 per cell]
K  0.7514  0.7728  0.9990 [1 per cell]
K  0.7521  0.2726  0.9995 [1 per cell]
Na  0.0075  0.4978  0.5084 [1 per cell]
Na  0.1024  0.1349  0.7186 [1 per cell]
Na  0.1120  0.1398  0.2279 [1 per cell]
Na  0.1135  0.6318  0.7186 [1 per cell]
Na  0.1136  0.6399  0.2280 [1 per cell]
Na  0.2592  0.2857  0.5089 [1 per cell]
Na  0.2592  0.7769  0.5081 [1 per cell]
Na  0.3622  0.3597  0.2283 [1 per cell]
Na  0.3636  0.3603  0.7199 [1 per cell]
Na  0.3637  0.8526  0.7208 [1 per cell]
Na  0.4976  0.5018  0.5111 [1 per cell]
Na  0.5029  0.0031  0.0087 [1 per cell]
Na  0.5090  0.0007  0.5112 [1 per cell]
Na  0.6007  0.6373  0.7174 [1 per cell]
Na  0.6113  0.1392  0.2273 [1 per cell]
Na  0.6119  0.6398  0.2278 [1 per cell]
Na  0.6145  0.1371  0.7190 [1 per cell]
Na  0.7452  0.7855  0.5092 [1 per cell]
Na  0.7501  0.2776  0.5093 [1 per cell]
Na  0.8481  0.8586  0.7177 [1 per cell]
Na  0.8533  0.3514  0.7179 [1 per cell]
Na  0.8611  0.8603  0.2279 [1 per cell]
Na  0.8628  0.3596  0.2282 [1 per cell]
Na  0.9982  0.0006  0.5088 [1 per cell]
V  0.1973  0.4790  0.8589 [1 per cell]
V  0.2015  0.9783  0.8600 [1 per cell]
V  0.2043  0.9888  0.3726 [1 per cell]
V  0.2070  0.4840  0.3700 [1 per cell]
V  0.3054  0.5688  0.6147 [1 per cell]
V  0.4456  0.6568  0.8583 [1 per cell]
V  0.4492  0.1505  0.8608 [1 per cell]
V  0.4566  0.6534  0.3709 [1 per cell]
V  0.4581  0.1631  0.3730 [1 per cell]
V  0.5491  0.3170  0.6160 [1 per cell]
V  0.5514  0.8172  0.6150 [1 per cell]
V  0.6940  0.9777  0.8584 [1 per cell]
V  0.6948  0.4785  0.8580 [1 per cell]
V  0.7067  0.4838  0.3691 [1 per cell]
V  0.7083  0.9847  0.3695 [1 per cell]
V  0.7964  0.0690  0.6151 [1 per cell]
V  0.9462  0.1511  0.8580 [1 per cell]
V  0.9459  0.6521  0.8581 [1 per cell]
V  0.9539  0.1583  0.3682 [1 per cell]
V  0.9572  0.6562  0.3691 [1 per cell]
Mo  0.0499  0.3190  0.6154 [1 per cell]
Mo  0.0521  0.8192  0.6159 [1 per cell]
Mo  0.0575  0.3219  0.1228 [1 per cell]
Mo  0.0579  0.8221  0.1227 [1 per cell]
Mo  0.3039  0.0703  0.6162 [1 per cell]
Mo  0.3072  0.0727  0.1211 [1 per cell]
Mo  0.3074  0.5709  0.1212 [1 per cell]
Mo  0.5573  0.3208  0.1215 [1 per cell]
Mo  0.5575  0.8213  0.1194 [1 per cell]
Mo  0.7964  0.5700  0.6151 [1 per cell]
Mo  0.8055  0.0719  0.1208 [1 per cell]
Mo  0.8077  0.5727  0.1226 [1 per cell]
O  0.1025  0.6098  0.8488 [1 per cell]
O  0.1047  0.1068  0.8490 [1 per cell]
O  0.1158  0.3511  0.7590 [1 per cell]
O  0.1160  0.8518  0.7567 [1 per cell]
O  0.1201  0.1277  0.3700 [1 per cell]
O  0.1217  0.3622  0.2657 [1 per cell]
O  0.1217  0.6248  0.3689 [1 per cell]
O  0.1270  0.8667  0.2671 [1 per cell]
O  0.1621  0.6953  0.6027 [1 per cell]
O  0.1736  0.1808  0.6039 [1 per cell]
O  0.1764  0.6904  0.1108 [1 per cell]
O  0.1784  0.1934  0.1132 [1 per cell]
O  0.1820  0.9519  0.6334 [1 per cell]
O  0.1859  0.4458  0.6260 [1 per cell]
O  0.1871  0.9549  0.1344 [1 per cell]
O  0.1890  0.4531  0.1362 [1 per cell]
O  0.2215  0.9675  0.4766 [1 per cell]
O  0.2284  0.4704  0.4759 [1 per cell]
O  0.2306  0.9829  0.9719 [1 per cell]
O  0.2329  0.4829  0.9720 [1 per cell]
O  0.3543  0.5158  0.8510 [1 per cell]
O  0.3599  0.6733  0.7546 [1 per cell]
O  0.3635  0.1729  0.7571 [1 per cell]
O  0.3658  0.0090  0.8595 [1 per cell]
O  0.3704  0.0326  0.3827 [1 per cell]
O  0.3708  0.6626  0.2640 [1 per cell]
O  0.3727  0.5120  0.3703 [1 per cell]
O  0.3741  0.1716  0.2649 [1 per cell]
O  0.4167  0.1857  0.5999 [1 per cell]
O  0.4190  0.6876  0.6044 [1 per cell]
O  0.4234  0.9560  0.6263 [1 per cell]
O  0.4270  0.1889  0.1082 [1 per cell]
O  0.4285  0.6882  0.1087 [1 per cell]
O  0.4391  0.4526  0.1361 [1 per cell]
O  0.4397  0.9548  0.1292 [1 per cell]
O  0.4444  0.4408  0.6271 [1 per cell]
O  0.4735  0.7780  0.4724 [1 per cell]
O  0.4828  0.2860  0.4768 [1 per cell]
O  0.4834  0.7724  0.9705 [1 per cell]
O  0.4835  0.2629  0.9716 [1 per cell]
O  0.6020  0.6104  0.8493 [1 per cell]
O  0.6043  0.1121  0.8486 [1 per cell]
O  0.6109  0.3534  0.7567 [1 per cell]
O  0.6122  0.8534  0.7579 [1 per cell]
O  0.6204  0.1231  0.3689 [1 per cell]
O  0.6228  0.3619  0.2651 [1 per cell]
O  0.6231  0.6236  0.3695 [1 per cell]
O  0.6269  0.8627  0.2637 [1 per cell]
O  0.6624  0.2023  0.6048 [1 per cell]
O  0.6697  0.6875  0.5999 [1 per cell]
O  0.6726  0.1879  0.1074 [1 per cell]
O  0.6781  0.6925  0.1110 [1 per cell]
O  0.6787  0.9519  0.6259 [1 per cell]
O  0.6877  0.9549  0.1349 [1 per cell]
O  0.6905  0.4541  0.1381 [1 per cell]
O  0.6906  0.4576  0.6289 [1 per cell]
O  0.7275  0.4676  0.4750 [1 per cell]
O  0.7285  0.9708  0.4750 [1 per cell]
O  0.7287  0.9834  0.9726 [1 per cell]
O  0.7341  0.4840  0.9724 [1 per cell]
O  0.8520  0.5121  0.8482 [1 per cell]
O  0.8525  0.0120  0.8501 [1 per cell]
O  0.8610  0.6773  0.7558 [1 per cell]
O  0.8616  0.1732  0.7560 [1 per cell]
O  0.8685  0.1748  0.2640 [1 per cell]
O  0.8725  0.5163  0.3693 [1 per cell]
O  0.8717  0.6748  0.2658 [1 per cell]
O  0.8734  0.0165  0.3690 [1 per cell]
O  0.9154  0.6801  0.6026 [1 per cell]
O  0.9195  0.1854  0.6037 [1 per cell]
O  0.9274  0.1922  0.1131 [1 per cell]
O  0.9290  0.6927  0.1141 [1 per cell]
O  0.9343  0.4513  0.6307 [1 per cell]
O  0.9347  0.9374  0.6263 [1 per cell]
O  0.9395  0.9548  0.1385 [1 per cell]
O  0.9401  0.4555  0.1382 [1 per cell]
O  0.9733  0.2801  0.4725 [1 per cell]
O  0.9788  0.7788  0.4752 [1 per cell]
O  0.9822  0.7599  0.9715 [1 per cell]
O  0.9839  0.2602  0.9720 [1 per cell]

***

# 2
The following is a PBE with a Hubbard U calculation of CsVP2O7 after structural relaxation, from the Materials Project database.

Unit cell a=7.8404 b=10.2026 c=8.4880 alpha=90.00 beta=104.95 gamma=90.00
Space group P2_1/c (No. 14)
Symmetry-distinct sites (fractional):
Cs  0.1980  0.2030  0.0403 [4 per cell]
V  0.2408  0.6018  0.2589 [4 per cell]
P  0.1319  0.5955  0.8326 [4 per cell]
P  0.4253  0.6270  0.6827 [4 per cell]
O  0.0113  0.0046  0.7654 [4 per cell]
O  0.0941  0.7373  0.7698 [4 per cell]
O  0.1602  0.5840  0.0157 [4 per cell]
O  0.3161  0.5493  0.7949 [4 per cell]
O  0.3232  0.6010  0.5067 [4 per cell]
O  0.3899  0.0669  0.7710 [4 per cell]
O  0.4368  0.7284  0.2336 [4 per cell]

***

# 3
The following is a PBE with a Hubbard U calculation of FeO2 after structural relaxation, from the Materials Project database.

Unit cell a=5.3540 b=2.9022 c=4.5974 alpha=90.00 beta=94.56 gamma=90.00
Space group C2/m (No. 12)
Symmetry-distinct sites (fractional):
Fe  0.0000  0.0000  0.0000 [2 per cell]
O  0.1608  0.5000  0.2131 [4 per cell]

***

# 4
The following is a PBE with a Hubbard U calculation of Li3Co3CuO8 after structural relaxation, from the Materials Project database.

Unit cell a=5.8267 b=5.8267 c=14.6070 alpha=90.00 beta=90.00 gamma=120.00
Space group R-3m (No. 166, hexagonal axes)
Symmetry-distinct sites (fractional):
Li  0.0000  0.5000  0.0000 [9 per cell]
Co  0.0000  0.5000  0.5000 [9 per cell]
Cu  0.0000  0.0000  0.5000 [3 per cell]
O  0.0000  0.0000  0.2443 [6 per cell]
O  0.0067  0.5034  0.2396 [18 per cell]

***

# 5
The following is a PBE with a Hubbard U calculation of Fe31Si5O48 after structural relaxation, from the Materials Project database.

Unit cell a=10.4322 b=10.4447 c=10.5153 alpha=60.38 beta=80.38 gamma=70.03
Space group P1 (No. 1)
Symmetry-distinct sites (fractional):
Fe  0.0000  0.0000  0.0000 [1 per cell]
Fe  0.0000  0.1621  0.6673 [1 per cell]
Fe  0.0006  0.3272  0.3362 [1 per cell]
Fe  0.0624  0.6411  0.3317 [1 per cell]
Fe  0.2351  0.5654  0.8365 [1 per cell]
Fe  0.2350  0.7305  0.5044 [1 per cell]
Fe  0.2453  0.0806  0.3375 [1 per cell]
Fe  0.2452  0.7537  0.9958 [1 per cell]
Fe  0.2465  0.4138  0.1651 [1 per cell]
Fe  0.2476  0.9158  0.1701 [1 per cell]
Fe  0.2513  0.9124  0.6686 [1 per cell]
Fe  0.2638  0.0960  0.8339 [1 per cell]
Fe  0.2636  0.2594  0.5033 [1 per cell]
Fe  0.4389  0.5232  0.3277 [1 per cell]
Fe  0.4403  0.1813  0.0111 [1 per cell]
Fe  0.4932  0.8279  0.3453 [1 per cell]
Fe  0.4987  0.4996  0.9976 [1 per cell]
Fe  0.4992  0.6625  0.6699 [1 per cell]
Fe  0.5574  0.1453  0.3260 [1 per cell]
Fe  0.5581  0.8018  0.0121 [1 per cell]
Fe  0.7344  0.0656  0.8320 [1 per cell]
Fe  0.7336  0.2306  0.5038 [1 per cell]
Fe  0.7449  0.4144  0.6699 [1 per cell]
Fe  0.7489  0.9101  0.1712 [1 per cell]
Fe  0.7520  0.4118  0.1694 [1 per cell]
Fe  0.7528  0.5687  0.3464 [1 per cell]
Fe  0.7550  0.2462  0.9935 [1 per cell]
Fe  0.7632  0.7606  0.5056 [1 per cell]
Fe  0.7645  0.5964  0.8352 [1 per cell]
Fe  0.9376  0.0225  0.3305 [1 per cell]
Fe  0.9379  0.6837  0.0121 [1 per cell]
Si  0.0500  0.4636  0.6754 [1 per cell]
Si  0.0561  0.3014  0.0036 [1 per cell]
Si  0.4426  0.3579  0.6695 [1 per cell]
Si  0.5541  0.9674  0.6693 [1 per cell]
Si  0.9461  0.8558  0.6708 [1 per cell]
O  0.1019  0.4331  0.8365 [1 per cell]
O  0.1093  0.5922  0.5307 [1 per cell]
O  0.1132  0.2954  0.6739 [1 per cell]
O  0.1153  0.7912  0.6717 [1 per cell]
O  0.1164  0.1342  0.0019 [1 per cell]
O  0.1168  0.2977  0.1399 [1 per cell]
O  0.1260  0.4484  0.3350 [1 per cell]
O  0.1282  0.1337  0.5151 [1 per cell]
O  0.1293  0.7880  0.1609 [1 per cell]
O  0.1292  0.9520  0.3369 [1 per cell]
O  0.1308  0.6272  0.9999 [1 per cell]
O  0.1337  0.9706  0.8335 [1 per cell]
O  0.3639  0.8743  0.0012 [1 per cell]
O  0.3648  0.6893  0.8467 [1 per cell]
O  0.3657  0.2070  0.3335 [1 per cell]
O  0.3684  0.8555  0.5010 [1 per cell]
O  0.3758  0.5476  0.1524 [1 per cell]
O  0.3768  0.7105  0.3368 [1 per cell]
O  0.3776  0.3792  0.0006 [1 per cell]
O  0.3802  0.5263  0.6716 [1 per cell]
O  0.3807  0.0271  0.1775 [1 per cell]
O  0.3849  0.0308  0.6691 [1 per cell]
O  0.3872  0.2282  0.8186 [1 per cell]
O  0.3877  0.3767  0.5201 [1 per cell]
O  0.6093  0.9475  0.8198 [1 per cell]
O  0.6098  0.0974  0.5201 [1 per cell]
O  0.6121  0.2944  0.6714 [1 per cell]
O  0.6168  0.7985  0.6687 [1 per cell]
O  0.6257  0.2954  0.1537 [1 per cell]
O  0.6261  0.6131  0.0024 [1 per cell]
O  0.6263  0.9469  0.3306 [1 per cell]
O  0.6284  0.7848  0.1828 [1 per cell]
O  0.6320  0.4567  0.3381 [1 per cell]
O  0.6373  0.1158  0.0068 [1 per cell]
O  0.6365  0.6369  0.4925 [1 per cell]
O  0.6393  0.4587  0.8488 [1 per cell]
O  0.8630  0.0405  0.1632 [1 per cell]
O  0.8640  0.1957  0.8303 [1 per cell]
O  0.8635  0.3573  0.5093 [1 per cell]
O  0.8650  0.7086  0.3326 [1 per cell]
O  0.8661  0.8798  0.0080 [1 per cell]
O  0.8673  0.5396  0.1786 [1 per cell]
O  0.8711  0.2107  0.3367 [1 per cell]
O  0.8822  0.5308  0.6729 [1 per cell]
O  0.8859  0.0257  0.6713 [1 per cell]
O  0.8861  0.3590  0.0017 [1 per cell]
O  0.8879  0.8752  0.5228 [1 per cell]
O  0.8890  0.7274  0.8189 [1 per cell]

***

# 6
The following is a PBE with a Hubbard U calculation of Na2VO3 after structural relaxation, from the Materials Project database.

Unit cell a=5.4042 b=9.3720 c=6.0942 alpha=90.00 beta=90.00 gamma=90.00
Space group Pnma (No. 62)
Symmetry-distinct sites (fractional):
Na  0.2349  0.0792  0.1045 [8 per cell]
V  0.2219  0.7500  0.1470 [4 per cell]
O  0.0112  0.1144  0.7219 [8 per cell]
O  0.1523  0.7500  0.8702 [4 per cell]

***

# 7
The following is a PBE with a Hubbard U calculation of LiCoPO4 after structural relaxation, from the Materials Project database.

Unit cell a=8.6945 b=8.0125 c=17.2708 alpha=90.00 beta=119.59 gamma=90.00
Space group P2_1/c (No. 14)
Symmetry-distinct sites (fractional):
Li  0.0044  0.1516  0.2534 [4 per cell]
Li  0.2516  0.0088  0.5600 [4 per cell]
Li  0.3688  0.0171  0.0852 [4 per cell]
Co  0.0149  0.1552  0.9210 [4 per cell]
Co  0.3165  0.1665  0.7354 [4 per cell]
Co  0.3530  0.6576  0.9073 [4 per cell]
P  0.0365  0.7353  0.4286 [4 per cell]
P  0.3159  0.7203  0.2297 [4 per cell]
P  0.3572  0.2435  0.4127 [4 per cell]
O  0.0820  0.2115  0.5309 [4 per cell]
O  0.0819  0.2187  0.1741 [4 per cell]
O  0.1273  0.5647  0.4683 [4 per cell]
O  0.1509  0.2400  0.3678 [4 per cell]
O  0.1824  0.6314  0.9529 [4 per cell]
O  0.2270  0.7287  0.2893 [4 per cell]
O  0.2468  0.6353  0.6610 [4 per cell]
O  0.2611  0.5538  0.1756 [4 per cell]
O  0.4130  0.1248  0.8650 [4 per cell]
O  0.4280  0.0716  0.4024 [4 per cell]
O  0.4330  0.2109  0.0127 [4 per cell]
O  0.4817  0.2262  0.2058 [4 per cell]

**ΔE to the lowest computed polymorph**: 0.043 eV/atom

***

no.,calculated formation energy (eV/atom)
1,-2.1856
2,-2.7319
3,-1.1660
4,-1.4794
5,-1.8678
6,-2.2680
7,-2.3649